# 1
VASP calculation (PBE-GGA) on a relaxed structure of PuI3.

For the density, the calculation gives 6.2 g/cm3. Its energy is -46.56 eV/cell. Its volume is 41.975 A^3/atom. As for the calculated formation energy: -5.57 eV/f.u.

a = 4.2451 Å, b = 8.1820 Å, c = 10.0106 Å
α = 90.00°, β = 90.00°, γ = 105.04°
Element x y z (fractional)
I1 0.6578 0.3156 0.5690
I2 0.6578 0.3156 0.9310
I3 0.3422 0.6844 0.4310
I4 0.3422 0.6844 0.0690
I5 0.9047 0.8095 0.7500
I6 0.0953 0.1905 0.2500
Pu1 0.7392 0.4784 0.2500
Pu2 0.2608 0.5216 0.7500



# 2
VASP calculation (PBE-GGA) on a relaxed structure of RbI.

For the density, the calculation gives 3.4 g/cm3. Its energy is -5.52 eV/cell. Its volume is 52.479 A^3/atom. As for the calculated formation energy: -3.39 eV/f.u.

a = 5.2947 Å, b = 5.2947 Å, c = 5.2947 Å
α = 60.00°, β = 60.00°, γ = 60.00°
Element x y z (fractional)
Rb1 0.0000 0.0000 0.0000
I1 0.5000 0.5000 0.5000



# 3
VASP calculation (PBE-GGA) on a relaxed structure of RbI.

For the density, the calculation gives 3.9 g/cm3. Its energy is -5.42 eV/cell. Its volume is 45.185 A^3/atom. As for the calculated formation energy: -3.29 eV/f.u.

a = 4.4875 Å, b = 4.4875 Å, c = 4.4875 Å
α = 90.00°, β = 90.00°, γ = 90.00°
Element x y z (fractional)
I1 0.5000 0.5000 0.5000
Rb1 0.0000 0.0000 0.0000



# 4
VASP calculation (PBE-GGA) on a relaxed structure of Rb3SbI6.

For the density, the calculation gives 3.5 g/cm3. Its energy is -25.97 eV/cell. Its volume is 54.829 A^3/atom. As for the calculated formation energy: -12.03 eV/f.u.

a = 9.1870 Å, b = 9.1870 Å, c = 9.1870 Å
α = 60.00°, β = 60.00°, γ = 60.00°
Element x y z (fractional)
I1 0.7673 0.7673 0.2327
I2 0.2327 0.7673 0.7673
I3 0.2327 0.2327 0.7673
I4 0.2327 0.7673 0.2327
I5 0.7673 0.2327 0.7673
I6 0.7673 0.2327 0.2327
Sb1 0.0000 0.0000 0.0000
Rb1 0.7500 0.7500 0.7500
Rb2 0.5000 0.5000 0.5000
Rb3 0.2500 0.2500 0.2500



# 5
VASP calculation (PBE-GGA) on a relaxed structure of Rb2TlSbI6.

For the density, the calculation gives 4.1 g/cm3. Its energy is -26.06 eV/cell. Its volume is 50.766 A^3/atom. As for the calculated formation energy: -10.73 eV/f.u.

a = 8.9542 Å, b = 8.9542 Å, c = 8.9542 Å
α = 60.00°, β = 60.00°, γ = 60.00°
Element x y z (fractional)
I1 0.7608 0.7608 0.2392
I2 0.2392 0.7608 0.7608
I3 0.2392 0.7608 0.2392
I4 0.7608 0.2392 0.2392
I5 0.2392 0.2392 0.7608
I6 0.7608 0.2392 0.7608
Rb1 0.7500 0.7500 0.7500
Rb2 0.2500 0.2500 0.2500
Sb1 0.0000 0.0000 0.0000
Tl1 0.5000 0.5000 0.5000



# 6
VASP calculation (PBE-GGA) on a relaxed structure of Rb3ScI6.

For the density, the calculation gives 3.4 g/cm3. Its energy is -31.93 eV/cell. Its volume is 51.553 A^3/atom. As for the calculated formation energy: -15.78 eV/f.u.

a = 9.0003 Å, b = 9.0003 Å, c = 9.0003 Å
α = 60.00°, β = 60.00°, γ = 60.00°
Element x y z (fractional)
I1 0.7728 0.2272 0.2272
I2 0.2272 0.7728 0.2272
I3 0.7728 0.7728 0.2272
I4 0.2272 0.2272 0.7728
I5 0.2272 0.7728 0.7728
I6 0.7728 0.2272 0.7728
Rb1 0.2500 0.2500 0.2500
Rb2 0.7500 0.7500 0.7500
Rb3 0.5000 0.5000 0.5000
Sc1 0.0000 0.0000 0.0000



# 7
VASP calculation (PBE-GGA) on a relaxed structure of Rb2ScTlI6.

For the density, the calculation gives 4.0 g/cm3. Its energy is -31.81 eV/cell. Its volume is 48.972 A^3/atom. As for the calculated formation energy: -14.29 eV/f.u.

a = 8.8475 Å, b = 8.8475 Å, c = 8.8475 Å
α = 60.00°, β = 60.00°, γ = 60.00°
Element x y z (fractional)
I1 0.2314 0.2314 0.7686
I2 0.7686 0.2314 0.2314
I3 0.2314 0.7686 0.2314
I4 0.7686 0.2314 0.7686
I5 0.7686 0.7686 0.2314
I6 0.2314 0.7686 0.7686
Rb1 0.7500 0.7500 0.7500
Rb2 0.2500 0.2500 0.2500
Tl1 0.5000 0.5000 0.5000
Sc1 0.0000 0.0000 0.0000



# 8
VASP calculation (PBE-GGA) on a relaxed structure of RbSm2I5.

For the density, the calculation gives 5.6 g/cm3. Its energy is -109.92 eV/cell. Its volume is 37.966 A^3/atom. As for the calculated formation energy: -11.34 eV/f.u.

a = 8.7887 Å, b = 9.7827 Å, c = 14.1318 Å
α = 89.24°, β = 90.00°, γ = 90.00°
Element x y z (fractional)
Sm1 0.9129 0.2334 0.0007
Sm2 0.0871 0.7666 0.9993
Sm3 0.5533 0.0060 0.1765
Sm4 0.4467 0.9940 0.8235
Sm5 0.0533 0.9940 0.3235
Sm6 0.9467 0.0060 0.6765
Sm7 0.5871 0.2334 0.5007
Sm8 0.4129 0.7666 0.4993
I1 0.0403 0.7909 0.5066
I2 0.3462 0.2076 0.3209
I3 0.9597 0.2091 0.4934
I4 0.6651 0.5359 0.4203
I5 0.6538 0.7924 0.6791
I6 0.8349 0.5359 0.9203
I7 0.3169 0.7764 0.2826
I8 0.8169 0.2236 0.2174
I9 0.5403 0.2091 0.9934
I10 0.3379 0.0454 0.6027
I11 0.8379 0.9546 0.8973
I12 0.6621 0.9546 0.3973
I13 0.1538 0.2076 0.8209
I14 0.1621 0.0454 0.1027
I15 0.6831 0.2236 0.7174
I16 0.8462 0.7924 0.1791
I17 0.1651 0.4641 0.0797
I18 0.4597 0.7909 0.0066
I19 0.3349 0.4641 0.5797
I20 0.1831 0.7764 0.7826
Rb1 0.9531 0.4994 0.6724
Rb2 0.0469 0.5006 0.3276
Rb3 0.5469 0.4994 0.1724
Rb4 0.4531 0.5006 0.8276



# 9
VASP calculation (PBE-GGA) on a relaxed structure of RbSmI3.

For the density, the calculation gives 4.8 g/cm3. Its energy is -33.45 eV/cell. Its volume is 42.966 A^3/atom. As for the calculated formation energy: -7.59 eV/f.u.

a = 8.6141 Å, b = 8.6141 Å, c = 11.9488 Å
α = 90.00°, β = 90.00°, γ = 151.01°
Element x y z (fractional)
Sm1 0.0000 0.0000 0.0000
Sm2 0.0000 0.0000 0.5000
I1 0.3638 0.6362 0.5525
I2 0.6362 0.3638 0.0525
I3 0.6362 0.3638 0.4475
I4 0.0630 0.9370 0.7500
I5 0.3638 0.6362 0.9475
I6 0.9370 0.0630 0.2500
Rb1 0.2509 0.7491 0.2500
Rb2 0.7491 0.2509 0.7500



# 10
VASP calculation (PBE-GGA) on a relaxed structure of RbSnI3.

For the density, the calculation gives 4.3 g/cm3. Its energy is -56.75 eV/cell. Its volume is 44.666 A^3/atom. As for the calculated formation energy: -5.76 eV/f.u.

a = 4.7908 Å, b = 10.5729 Å, c = 17.6362 Å
α = 90.00°, β = 90.00°, γ = 90.00°
Element x y z (fractional)
Rb1 0.7500 0.9156 0.3278
Rb2 0.2500 0.0844 0.6722
Rb3 0.7500 0.4156 0.1722
Rb4 0.2500 0.5844 0.8278
I1 0.7500 0.1628 0.5041
I2 0.2500 0.9764 0.8847
I3 0.2500 0.1997 0.2887
I4 0.7500 0.5236 0.3847
I5 0.7500 0.0236 0.1153
I6 0.7500 0.6628 0.9959
I7 0.2500 0.3372 0.0041
I8 0.2500 0.6997 0.2113
I9 0.7500 0.8003 0.7113
I10 0.7500 0.3003 0.7887
I11 0.2500 0.4764 0.6153
I12 0.2500 0.8372 0.4959
Sn1 0.7500 0.1622 0.9398
Sn2 0.2500 0.3378 0.4398
Sn3 0.7500 0.6622 0.5602
Sn4 0.2500 0.8378 0.0602



# 11
VASP calculation (PBE-GGA) on a relaxed structure of Rb2TeI6.

For the density, the calculation gives 4.2 g/cm3. Its energy is -42.48 eV/cell. Its volume is 46.937 A^3/atom. As for the calculated formation energy: -9.27 eV/f.u.

a = 8.2502 Å, b = 8.2502 Å, c = 12.4123 Å
α = 90.00°, β = 90.00°, γ = 90.00°
Element x y z (fractional)
I1 0.5000 0.5000 0.7400
I2 0.0000 0.0000 0.2400
I3 0.2982 0.7990 0.5000
I4 0.7982 0.7010 0.0000
I5 0.2010 0.2982 0.5000
I6 0.2018 0.2990 0.0000
I7 0.7990 0.7018 0.5000
I8 0.5000 0.5000 0.2600
I9 0.0000 0.0000 0.7600
I10 0.7010 0.2018 0.0000
I11 0.7018 0.2010 0.5000
I12 0.2990 0.7982 0.0000
Rb1 0.5000 0.0000 0.7500
Rb2 0.5000 0.0000 0.2500
Rb3 0.0000 0.5000 0.7500
Rb4 0.0000 0.5000 0.2500
Te1 0.0000 0.0000 0.0000
Te2 0.5000 0.5000 0.5000



# 12
VASP calculation (PBE-GGA) on a relaxed structure of RbTiI3.

For the density, the calculation gives 4.2 g/cm3. Its energy is -109.63 eV/cell. Its volume is 40.439 A^3/atom. As for the calculated formation energy: -5.96 eV/f.u.

a = 14.1368 Å, b = 14.1368 Å, c = 7.0096 Å
α = 90.00°, β = 90.00°, γ = 120.00°
Element x y z (fractional)
I1 0.8288 0.3329 0.3371
I2 0.4959 0.6671 0.3371
I3 0.0000 0.1628 0.2431
I4 0.4959 0.8288 0.8371
I5 0.8288 0.4959 0.8371
I6 0.6671 0.4959 0.3371
I7 0.1628 0.0000 0.2431
I8 0.0000 0.8372 0.7431
I9 0.1712 0.6671 0.8371
I10 0.6671 0.1712 0.8371
I11 0.5041 0.3329 0.8371
I12 0.3329 0.5041 0.8371
I13 0.5041 0.1712 0.3371
I14 0.1628 0.1628 0.7431
I15 0.3329 0.8288 0.3371
I16 0.8372 0.8372 0.2431
I17 0.1712 0.5041 0.3371
I18 0.8372 0.0000 0.7431
Rb1 0.3299 0.3299 0.2862
Rb2 0.6701 0.0000 0.2862
Rb3 0.3299 0.0000 0.7862
Rb4 0.0000 0.6701 0.2862
Rb5 0.6701 0.6701 0.7862
Rb6 0.0000 0.3299 0.7862
Ti1 0.6667 0.3333 0.5866
Ti2 0.6667 0.3333 0.0866
Ti3 0.0000 0.0000 0.9943
Ti4 0.3333 0.6667 0.5866
Ti5 0.0000 0.0000 0.4943
Ti6 0.3333 0.6667 0.0866



- Which of these has the highest density?
  PuI3



- The highest energy belongs to which entry?
  number 3



- Which of these has the lowest calculated formation energy?
  Rb3ScI6